Entry from the Materials Project: a geometry-optimized Fe6O5F7 structure (PBE+U).

The structure in CIF format:
```
data_Fe6O5F7
_cell_length_a 4.7715
_cell_length_b 4.7715
_cell_length_c 9.3264
_cell_angle_alpha 89.79
_cell_angle_beta 89.79
_cell_angle_gamma 92.26
_space_group_name_H-M_alt 'P 1'
_space_group_IT_number 1
loop_
_space_group_symop_operation_xyz
'x,y,z'
loop_
_atom_site_label
_atom_site_type_symbol
_atom_site_fract_x
_atom_site_fract_y
_atom_site_fract_z
O1 O 0.1891 0.8109 0.5000
F1 F 0.1990 0.7932 0.8195
F2 F 0.7986 0.1936 0.8147
O2 O 0.3186 0.3191 0.3350
F3 F 0.2068 0.8010 0.1805
Fe1 Fe 0.9988 0.0012 0.0000
O3 O 0.6809 0.6814 0.6650
Fe2 Fe 0.4921 0.4837 0.1551
O4 O 0.3082 0.3016 0.9953
F4 F 0.8001 0.1999 0.5000
Fe3 Fe 0.4723 0.5277 0.5000
O5 O 0.6984 0.6918 0.0047
F5 F 0.8064 0.2014 0.1853
F6 F 0.2858 0.2922 0.6657
Fe4 Fe 0.9796 0.9588 0.6595
Fe5 Fe 0.5163 0.5079 0.8449
F7 F 0.7078 0.7142 0.3343
Fe6 Fe 0.0412 0.0204 0.3405
```

Properties
symmetry: C2, No. 5
energy of formation: -2112 meV/atom

Entry from the Materials Project: a geometry-optimized Fe5O8F2 structure (PBE+U).

The structure in CIF format:
```
data_Fe5O8F2
_cell_length_a 4.6395
_cell_length_b 4.6395
_cell_length_c 15.1432
_cell_angle_alpha 89.82
_cell_angle_beta 89.82
_cell_angle_gamma 90.03
_space_group_name_H-M_alt 'P 1'
_space_group_IT_number 1
loop_
_space_group_symop_operation_xyz
'x,y,z'
loop_
_atom_site_label
_atom_site_type_symbol
_atom_site_fract_x
_atom_site_fract_y
_atom_site_fract_z
F1 F 0.7984 0.1974 0.5986
O1 O 0.2038 0.8070 0.8044
Fe1 Fe 0.0236 0.0205 0.9011
O2 O 0.6826 0.6757 0.0997
Fe2 Fe 0.5016 0.4984 0.0000
F2 F 0.8026 0.2016 0.4014
Fe3 Fe 0.9795 0.9764 0.0989
O3 O 0.3085 0.3097 0.3022
O4 O 0.1810 0.8120 0.6034
Fe4 Fe 0.0105 0.9957 0.2948
Fe5 Fe 0.0043 0.9895 0.7052
O5 O 0.1880 0.8190 0.3966
O6 O 0.6873 0.6978 0.5002
Fe6 Fe 0.4950 0.4893 0.7948
O7 O 0.3243 0.3174 0.9003
O8 O 0.3022 0.3127 0.4998
O9 O 0.6971 0.6989 0.3045
O10 O 0.6903 0.6915 0.6978
Fe7 Fe 0.5107 0.5050 0.2052
F3 F 0.7071 0.7012 0.8988
O11 O 0.3011 0.3029 0.6955
Fe8 Fe 0.0161 0.9839 0.5000
O12 O 0.8069 0.1857 0.1988
F4 F 0.2988 0.2929 0.1012
O13 O 0.1930 0.7962 0.1956
O14 O 0.8143 0.1931 0.8012
Fe9 Fe 0.4825 0.5150 0.5992
O15 O 0.8083 0.1917 0.0000
O16 O 0.1955 0.8045 0.0000
Fe10 Fe 0.4850 0.5175 0.4008
```

Properties
symmetry: C2, No. 5
energy of formation: -1570 meV/atom

Entry from the Materials Project: a geometry-optimized Fe2O3F structure (PBE+U).

The structure in CIF format:
```
data_Fe2O3F
_cell_length_a 5.5544
_cell_length_b 5.5544
_cell_length_c 7.0809
_cell_angle_alpha 72.82
_cell_angle_beta 72.82
_cell_angle_gamma 76.18
_space_group_name_H-M_alt 'P 1'
_space_group_IT_number 1
loop_
_space_group_symop_operation_xyz
'x,y,z'
loop_
_atom_site_label
_atom_site_type_symbol
_atom_site_fract_x
_atom_site_fract_y
_atom_site_fract_z
Fe1 Fe 0.6669 0.6644 0.8338
Fe2 Fe 0.3067 0.3595 0.6683
Fe3 Fe 0.0344 0.9656 0.0000
O1 O 0.9040 0.8910 0.2950
O2 O 0.7741 0.7658 0.0398
F1 F 0.7048 0.2952 0.0000
Fe4 Fe 0.3356 0.3331 0.1662
O3 O 0.0090 0.6444 0.6740
Fe5 Fe 0.6405 0.6933 0.3317
O4 O 0.3261 0.6739 0.0000
O5 O 0.1090 0.0960 0.7050
F2 F 0.6399 0.0363 0.6627
F3 F 0.9637 0.3601 0.3373
O6 O 0.2342 0.2259 0.9602
Fe6 Fe 0.0156 0.9844 0.5000
O7 O 0.4260 0.4462 0.3734
O8 O 0.5538 0.5740 0.6266
O9 O 0.3556 0.9910 0.3260
```

Properties
symmetry: C2, No. 5
energy of formation: -1665 meV/atom

Entry from the Materials Project: a geometry-optimized Fe5O2F8 structure (PBE+U).

The structure in CIF format:
```
data_Fe5O2F8
_cell_length_a 4.8346
_cell_length_b 8.0022
_cell_length_c 10.1496
_cell_angle_alpha 70.91
_cell_angle_beta 87.57
_cell_angle_gamma 88.83
_space_group_name_H-M_alt 'P 1'
_space_group_IT_number 1
loop_
_space_group_symop_operation_xyz
'x,y,z'
loop_
_atom_site_label
_atom_site_type_symbol
_atom_site_fract_x
_atom_site_fract_y
_atom_site_fract_z
Fe1 Fe 0.9676 0.6085 0.2126
Fe2 Fe 0.0000 0.0000 0.0000
F1 F 0.8125 0.3787 0.2135
O1 O 0.3129 0.3299 0.6773
F2 F 0.2082 0.0445 0.5820
F3 F 0.7122 0.2486 0.5182
O2 O 0.3131 0.1191 0.2750
F4 F 0.8143 0.5493 0.6334
Fe3 Fe 0.0261 0.1923 0.3889
F5 F 0.2878 0.7514 0.4818
F6 F 0.2922 0.5532 0.0771
Fe4 Fe 0.5026 0.1005 0.6938
F7 F 0.7918 0.9555 0.4180
F8 F 0.1858 0.2497 0.9697
F9 F 0.7078 0.4468 0.9229
Fe5 Fe 0.4974 0.8995 0.3062
F10 F 0.8004 0.1732 0.8164
F11 F 0.7017 0.0458 0.1238
F12 F 0.1996 0.8268 0.1836
O3 O 0.6871 0.6701 0.3227
F13 F 0.1875 0.6213 0.7865
Fe6 Fe 0.4870 0.2992 0.1088
Fe7 Fe 0.5130 0.7008 0.8912
Fe8 Fe 0.5000 0.5000 0.5000
F14 F 0.8142 0.7503 0.0303
O4 O 0.6869 0.8809 0.7250
F15 F 0.1857 0.4507 0.3666
Fe9 Fe 0.0324 0.3915 0.7874
F16 F 0.2983 0.9542 0.8762
Fe10 Fe 0.9739 0.8077 0.6111
```

Properties
symmetry: P-1, No. 2
energy of formation: -2329 meV/atom

Entry from the Materials Project: a geometry-optimized Fe10O11F9 structure (PBE+U).

The structure in CIF format:
```
data_Fe10O11F9
_cell_length_a 4.7743
_cell_length_b 4.7780
_cell_length_c 15.3008
_cell_angle_alpha 89.91
_cell_angle_beta 89.89
_cell_angle_gamma 84.99
_space_group_name_H-M_alt 'P 1'
_space_group_IT_number 1
loop_
_space_group_symop_operation_xyz
'x,y,z'
loop_
_atom_site_label
_atom_site_type_symbol
_atom_site_fract_x
_atom_site_fract_y
_atom_site_fract_z
O1 O 0.6970 0.3049 0.7946
O2 O 0.3084 0.6964 0.4030
F1 F 0.1894 0.1876 0.7004
O3 O 0.3062 0.6972 0.0005
Fe1 Fe 0.9906 0.9892 0.8042
Fe2 Fe 0.9946 0.9836 0.3954
O4 O 0.7064 0.3006 0.4051
O5 O 0.8089 0.8128 0.2989
F2 F 0.1926 0.1857 0.5015
O6 O 0.3012 0.6921 0.6031
F3 F 0.8018 0.8095 0.1016
F4 F 0.1902 0.1948 0.2981
O7 O 0.6799 0.3218 0.1992
Fe3 Fe 0.9935 0.9844 0.9949
Fe4 Fe 0.9607 0.0158 0.2041
F5 F 0.1965 0.1913 0.8979
Fe5 Fe 0.4974 0.4800 0.0934
Fe6 Fe 0.4973 0.4951 0.7006
O8 O 0.3071 0.6953 0.7946
O9 O 0.8139 0.8090 0.8976
F6 F 0.2917 0.7118 0.1978
F7 F 0.8077 0.8057 0.6988
Fe7 Fe 0.5305 0.5292 0.8991
Fe8 Fe 0.4965 0.4931 0.5010
O10 O 0.6950 0.2980 0.6032
F8 F 0.8106 0.8035 0.5029
Fe9 Fe 0.5431 0.5229 0.3071
F9 F 0.1854 0.1895 0.1021
O11 O 0.7042 0.3000 0.9982
Fe10 Fe 0.0017 0.9991 0.6011
```

Properties
symmetry: P1, No. 1
energy of formation: -1948 meV/atom

Entry from the Materials Project: a geometry-optimized Fe5O2F8 structure (PBE+U).

The structure in CIF format:
```
data_Fe5O2F8
_cell_length_a 4.7892
_cell_length_b 4.7906
_cell_length_c 16.0583
_cell_angle_alpha 90.00
_cell_angle_beta 90.00
_cell_angle_gamma 90.00
_space_group_name_H-M_alt 'P 1'
_space_group_IT_number 1
loop_
_space_group_symop_operation_xyz
'x,y,z'
loop_
_atom_site_label
_atom_site_type_symbol
_atom_site_fract_x
_atom_site_fract_y
_atom_site_fract_z
F1 F 0.2904 0.0393 0.9089
F2 F 0.3094 0.0592 0.7000
O1 O 0.6969 0.4466 0.9058
F3 F 0.3094 0.0592 0.3000
Fe1 Fe 0.0299 0.7200 0.5000
F4 F 0.6968 0.4453 0.3025
F5 F 0.2904 0.0393 0.0911
Fe2 Fe 0.5106 0.2549 0.1937
F6 F 0.1991 0.5482 0.0000
F7 F 0.8094 0.9408 0.2000
F8 F 0.1968 0.5547 0.8025
Fe3 Fe 0.5106 0.2549 0.8063
O2 O 0.1969 0.5534 0.4058
F9 F 0.6968 0.4453 0.6975
Fe4 Fe 0.4822 0.2682 0.5990
Fe5 Fe 0.9822 0.7318 0.9010
Fe6 Fe 0.5299 0.2800 0.0000
F10 F 0.7904 0.9607 0.4089
F11 F 0.1968 0.5547 0.1975
Fe7 Fe 0.4822 0.2682 0.4010
F12 F 0.7904 0.9607 0.5911
Fe8 Fe 0.0106 0.7451 0.6937
F13 F 0.7983 0.9493 0.0000
F14 F 0.2983 0.0507 0.5000
O3 O 0.1969 0.5534 0.5942
O4 O 0.6969 0.4466 0.0942
Fe9 Fe 0.9822 0.7318 0.0990
Fe10 Fe 0.0106 0.7451 0.3063
F15 F 0.6991 0.4518 0.5000
F16 F 0.8094 0.9408 0.8000
```

Properties
symmetry: Pmn2_1, No. 31
energy of formation: -2305 meV/atom

Question: Number 4 is which compound?
Answer: Fe5O2F8

Question: What is the energy of formation in the second record?
Answer: -1570 meV/atom

Repeat the third record exactly.
Entry from the Materials Project: a geometry-optimized Fe2O3F structure (PBE+U).

The structure in CIF format:
```
data_Fe2O3F
_cell_length_a 5.5544
_cell_length_b 5.5544
_cell_length_c 7.0809
_cell_angle_alpha 72.82
_cell_angle_beta 72.82
_cell_angle_gamma 76.18
_space_group_name_H-M_alt 'P 1'
_space_group_IT_number 1
loop_
_space_group_symop_operation_xyz
'x,y,z'
loop_
_atom_site_label
_atom_site_type_symbol
_atom_site_fract_x
_atom_site_fract_y
_atom_site_fract_z
Fe1 Fe 0.6669 0.6644 0.8338
Fe2 Fe 0.3067 0.3595 0.6683
Fe3 Fe 0.0344 0.9656 0.0000
O1 O 0.9040 0.8910 0.2950
O2 O 0.7741 0.7658 0.0398
F1 F 0.7048 0.2952 0.0000
Fe4 Fe 0.3356 0.3331 0.1662
O3 O 0.0090 0.6444 0.6740
Fe5 Fe 0.6405 0.6933 0.3317
O4 O 0.3261 0.6739 0.0000
O5 O 0.1090 0.0960 0.7050
F2 F 0.6399 0.0363 0.6627
F3 F 0.9637 0.3601 0.3373
O6 O 0.2342 0.2259 0.9602
Fe6 Fe 0.0156 0.9844 0.5000
O7 O 0.4260 0.4462 0.3734
O8 O 0.5538 0.5740 0.6266
O9 O 0.3556 0.9910 0.3260
```

Properties
symmetry: C2, No. 5
energy of formation: -1665 meV/atom